(1)
Here is crystalline NaPm2Sn at its relaxed geometry from the Materials Project. Energies are from r2SCAN.

Computed properties:
final energy: -22.2474 eV per atom
ΔE_f: -0.399 eV/atom

Lattice parameters (Å, degrees): 7.6907 7.6907 7.6907 90.00 90.00 90.00
Positions (direct):
Na 0.0000 0.0000 0.0000
Na 0.0000 0.5000 0.5000
Na 0.5000 0.0000 0.5000
Na 0.5000 0.5000 0.0000
Pm 0.2500 0.2500 0.2500
Pm 0.2500 0.2500 0.7500
Pm 0.2500 0.7500 0.2500
Pm 0.2500 0.7500 0.7500
Pm 0.7500 0.2500 0.2500
Pm 0.7500 0.2500 0.7500
Pm 0.7500 0.7500 0.2500
Pm 0.7500 0.7500 0.7500
Sn 0.0000 0.0000 0.5000
Sn 0.0000 0.5000 0.0000
Sn 0.5000 0.0000 0.0000
Sn 0.5000 0.5000 0.5000

(2)
Here is crystalline NaPmTl2 at its relaxed geometry from the Materials Project. Energies are from r2SCAN.

Computed properties:
final energy: -35.2246 eV per atom
ΔE_f: -0.359 eV/atom

Lattice parameters (Å, degrees): 7.5795 7.5795 7.5795 90.00 90.00 90.00
Positions (direct):
Na 0.0000 0.0000 0.0000
Na 0.0000 0.5000 0.5000
Na 0.5000 0.0000 0.5000
Na 0.5000 0.5000 0.0000
Pm 0.0000 0.0000 0.5000
Pm 0.0000 0.5000 0.0000
Pm 0.5000 0.0000 0.0000
Pm 0.5000 0.5000 0.5000
Tl 0.2500 0.2500 0.2500
Tl 0.2500 0.2500 0.7500
Tl 0.2500 0.7500 0.2500
Tl 0.2500 0.7500 0.7500
Tl 0.7500 0.2500 0.2500
Tl 0.7500 0.2500 0.7500
Tl 0.7500 0.7500 0.2500
Tl 0.7500 0.7500 0.7500

(3)
Here is crystalline NaPrS2 at its relaxed geometry from the Materials Project. Energies are from r2SCAN.

Computed properties:
final energy: -14.3052 eV per atom
ΔE_f: -2.046 eV/atom

Lattice parameters (Å, degrees): 5.7453 5.7453 11.9506 90.00 90.00 90.00
Positions (direct):
Na 0.0000 0.2500 0.3750
Na 0.0000 0.7500 0.6250
Na 0.5000 0.2500 0.1250
Na 0.5000 0.7500 0.8750
Pr 0.0000 0.2500 0.8750
Pr 0.0000 0.7500 0.1250
Pr 0.5000 0.2500 0.6250
Pr 0.5000 0.7500 0.3750
S 0.0000 0.2500 0.1139
S 0.0000 0.2500 0.6361
S 0.0000 0.7500 0.3639
S 0.0000 0.7500 0.8861
S 0.5000 0.2500 0.3861
S 0.5000 0.2500 0.8639
S 0.5000 0.7500 0.1361
S 0.5000 0.7500 0.6139

(4)
Here is crystalline NaPrS2 at its relaxed geometry from the Materials Project. Energies are from r2SCAN.

Computed properties:
final energy: -14.3102 eV per atom
ΔE_f: -2.051 eV/atom

Lattice parameters (Å, degrees): 4.1560 4.1560 19.9791 90.00 90.00 120.00
Positions (direct):
Na 0.0000 0.0000 0.0000
Na 0.3333 0.6667 0.6667
Na 0.6667 0.3333 0.3333
Pr 0.0000 0.0000 0.5000
Pr 0.3333 0.6667 0.1667
Pr 0.6667 0.3333 0.8333
S 0.0000 0.0000 0.2455
S 0.0000 0.0000 0.7545
S 0.3333 0.6667 0.4212
S 0.3333 0.6667 0.9121
S 0.6667 0.3333 0.0879
S 0.6667 0.3333 0.5788